A plane-wave DFT calculation with r2SCAN was carried out for Nd5CuBi3 after structural relaxation.

Geometry as POSCAR:
```
Nd5CuBi3
1.0
-5.5884 7.8259 0.0988
-3.5624 -8.4879 2.7837
1.8674 1.2551 6.2166
Bi Nd Cu
6 10 2
direct
0.3846 0.0000 0.2500 Bi
0.0000 0.6154 0.7500 Bi
0.6154 0.6154 0.2500 Bi
0.0000 0.3846 0.2500 Bi
0.3846 0.3846 0.7500 Bi
0.6154 0.0000 0.7500 Bi
0.7458 0.7458 0.7500 Nd
0.3333 0.6667 0.0000 Nd
0.6667 0.3333 0.5000 Nd
0.0000 0.2542 0.7500 Nd
0.2542 0.0000 0.7500 Nd
0.3333 0.6667 0.5000 Nd
0.0000 0.7458 0.2500 Nd
0.6667 0.3333 0.0000 Nd
0.2542 0.2542 0.2500 Nd
0.7458 0.0000 0.2500 Nd
0.0000 0.0000 0.0000 Cu
0.0000 0.0000 0.5000 Cu
```

Summary:
size of the total moment: 1.85 μB/f.u.
ΔH_f (0 K): -0.825 eV per atom

=====

A plane-wave DFT calculation with r2SCAN was carried out for YCu2Bi2Se2O4 after structural relaxation.

Geometry as POSCAR:
```
YCu2Bi2Se2O4
1.0
-1.9320 1.9320 12.3906
1.9320 -1.9320 12.3906
1.9320 1.9320 -12.3906
Y O Se Cu Bi
1 4 2 2 2
direct
0.0000 0.0000 0.0000 Y
0.5557 0.0557 0.5000 O
0.9443 0.4443 0.5000 O
0.0557 0.5557 0.5000 O
0.4443 0.9443 0.5000 O
0.8105 0.8105 0.0000 Se
0.1895 0.1895 0.0000 Se
0.7500 0.2500 0.5000 Cu
0.2500 0.7500 0.5000 Cu
0.3992 0.3992 0.0000 Bi
0.6008 0.6008 0.0000 Bi
```

Summary:
size of the total moment: 0.00 μB/f.u.
ΔH_f (0 K): -1.556 eV per atom

=====

A plane-wave DFT calculation with r2SCAN was carried out for Ti5CuBi3 after structural relaxation.

Geometry as POSCAR:
```
Ti5CuBi3
1.0
4.1745 -7.2305 0.0000
4.1745 7.2305 0.0000
0.0000 0.0000 5.5855
Bi Ti Cu
6 10 2
direct
0.0000 0.3827 0.2500 Bi
0.0000 0.6173 0.7500 Bi
0.3827 0.0000 0.2500 Bi
0.6173 0.6173 0.2500 Bi
0.3827 0.3827 0.7500 Bi
0.6173 0.0000 0.7500 Bi
0.3333 0.6667 0.5000 Ti
0.6667 0.3333 0.0000 Ti
0.7377 0.7377 0.7500 Ti
0.2623 0.0000 0.7500 Ti
0.6667 0.3333 0.5000 Ti
0.0000 0.7377 0.2500 Ti
0.3333 0.6667 0.0000 Ti
0.2623 0.2623 0.2500 Ti
0.7377 0.0000 0.2500 Ti
0.0000 0.2623 0.7500 Ti
0.0000 0.0000 0.0000 Cu
0.0000 0.0000 0.5000 Cu
```

Summary:
size of the total moment: 0.00 μB/f.u.
ΔH_f (0 K): -0.199 eV per atom

=====

A plane-wave DFT calculation with r2SCAN was carried out for Zr5CuBi3 after structural relaxation.

Geometry as POSCAR:
```
Zr5CuBi3
1.0
4.3939 -7.6104 0.0000
4.3939 7.6104 0.0000
0.0000 0.0000 5.9113
Zr Bi Cu
10 6 2
direct
0.3333 0.6667 0.5000 Zr
0.6667 0.3333 0.0000 Zr
0.2584 0.2584 0.2500 Zr
0.7416 0.7416 0.7500 Zr
0.0000 0.7416 0.2500 Zr
0.2584 0.0000 0.7500 Zr
0.0000 0.2584 0.7500 Zr
0.3333 0.6667 0.0000 Zr
0.7416 0.0000 0.2500 Zr
0.6667 0.3333 0.5000 Zr
0.6138 0.6138 0.2500 Bi
0.0000 0.6138 0.7500 Bi
0.0000 0.3862 0.2500 Bi
0.3862 0.3862 0.7500 Bi
0.3862 0.0000 0.2500 Bi
0.6138 0.0000 0.7500 Bi
0.0000 0.0000 0.0000 Cu
0.0000 0.0000 0.5000 Cu
```

Summary:
size of the total moment: 0.00 μB/f.u.
ΔH_f (0 K): -0.471 eV per atom

=====

A plane-wave DFT calculation with r2SCAN was carried out for Zr6CuBi2 after structural relaxation.

Geometry as POSCAR:
```
Zr6CuBi2
1.0
0.8691 6.7314 3.9123
-4.3143 -5.7795 3.0589
3.0952 -1.3997 1.7208
Zr Bi Cu
6 2 1
direct
0.6052 0.0000 0.5000 Zr
0.3948 0.3948 0.5000 Zr
0.7628 0.7628 0.0000 Zr
0.0000 0.2372 0.0000 Zr
0.2372 0.0000 0.0000 Zr
0.0000 0.6052 0.5000 Zr
0.6667 0.3333 0.0000 Bi
0.3333 0.6667 0.0000 Bi
0.0000 0.0000 0.5000 Cu
```

Summary:
size of the total moment: 0.68 μB/f.u.
ΔH_f (0 K): -0.363 eV per atom

=====

A plane-wave DFT calculation with r2SCAN was carried out for Dy5Bi3 after structural relaxation.

Geometry as POSCAR:
```
Dy5Bi3
1.0
-7.3616 -3.6918 0.1255
1.1152 -1.9109 9.1987
-5.2068 10.4782 2.8080
Dy Bi
20 12
direct
0.6450 0.2500 0.7853 Dy
0.5247 0.7500 0.5118 Dy
0.9753 0.2500 0.0118 Dy
0.3060 0.4364 0.9410 Dy
0.1940 0.5636 0.4410 Dy
0.1940 0.9364 0.4410 Dy
0.4753 0.2500 0.4882 Dy
0.6852 0.7500 0.7815 Dy
0.1852 0.7500 0.7185 Dy
0.3550 0.7500 0.2147 Dy
0.3148 0.2500 0.2185 Dy
0.0247 0.7500 0.9882 Dy
0.8550 0.7500 0.2853 Dy
0.3060 0.0636 0.9410 Dy
0.1450 0.2500 0.7147 Dy
0.6940 0.5636 0.0590 Dy
0.6940 0.9364 0.0590 Dy
0.8060 0.4364 0.5590 Dy
0.8060 0.0636 0.5590 Dy
0.8148 0.2500 0.2815 Dy
0.4337 0.0043 0.6740 Bi
0.4088 0.7500 0.9582 Bi
0.5663 0.9957 0.3260 Bi
0.9337 0.0043 0.8260 Bi
0.5663 0.5043 0.3260 Bi
0.5912 0.2500 0.0418 Bi
0.9088 0.7500 0.5418 Bi
0.0663 0.5043 0.1740 Bi
0.9337 0.4957 0.8260 Bi
0.0912 0.2500 0.4582 Bi
0.0663 0.9957 0.1740 Bi
0.4337 0.4957 0.6740 Bi
```

Summary:
size of the total moment: 0.00 μB/f.u.
energy above the most stable polymorph in this dataset: 0 meV per atom
ΔH_f (0 K): -0.822 eV per atom

=====

A plane-wave DFT calculation with r2SCAN was carried out for Dy5Bi3 after structural relaxation.

Geometry as POSCAR:
```
Dy5Bi3
1.0
-5.3594 -3.8716 -4.9641
-3.1027 8.3412 -3.1557
8.2706 -0.2330 -8.7476
Dy Bi
20 12
direct
0.3106 0.0623 0.5648 Dy
0.6894 0.5623 0.4352 Dy
0.4793 0.7500 0.9951 Dy
0.3106 0.4377 0.5648 Dy
0.0207 0.7500 0.4951 Dy
0.6894 0.9377 0.4352 Dy
0.8106 0.9377 0.9352 Dy
0.6593 0.7500 0.7092 Dy
0.6706 0.2500 0.7264 Dy
0.8106 0.5623 0.9352 Dy
0.5207 0.2500 0.0049 Dy
0.3407 0.2500 0.2908 Dy
0.9793 0.2500 0.5049 Dy
0.1894 0.4377 0.0648 Dy
0.8407 0.7500 0.2092 Dy
0.1593 0.2500 0.7908 Dy
0.8294 0.2500 0.2264 Dy
0.3294 0.7500 0.2736 Dy
0.1894 0.0623 0.0648 Dy
0.1706 0.7500 0.7736 Dy
0.9374 0.9921 0.6749 Bi
0.9374 0.5079 0.6749 Bi
0.9003 0.2500 0.9725 Bi
0.5997 0.2500 0.4725 Bi
0.5626 0.9921 0.1749 Bi
0.4374 0.4921 0.8251 Bi
0.4003 0.7500 0.5275 Bi
0.4374 0.0079 0.8251 Bi
0.0997 0.7500 0.0275 Bi
0.0626 0.0079 0.3251 Bi
0.0626 0.4921 0.3251 Bi
0.5626 0.5079 0.1749 Bi
```

Summary:
size of the total moment: 0.00 μB/f.u.
energy above the most stable polymorph in this dataset: 4 meV per atom
ΔH_f (0 K): -0.818 eV per atom

=====

A plane-wave DFT calculation with r2SCAN was carried out for Dy6FeBi2 after structural relaxation.

Geometry as POSCAR:
```
Dy6FeBi2
1.0
-7.7170 3.0571 0.8207
4.9815 -0.5929 6.6638
1.4501 3.8594 -0.7407
Dy Fe Bi
6 1 2
direct
0.3961 0.3961 0.0000 Dy
0.0000 0.6039 0.0000 Dy
0.0000 0.2331 0.5000 Dy
0.2331 0.0000 0.5000 Dy
0.7669 0.7669 0.5000 Dy
0.6039 0.0000 0.0000 Dy
0.0000 0.0000 0.0000 Fe
0.3333 0.6667 0.5000 Bi
0.6667 0.3333 0.5000 Bi
```

Summary:
size of the total moment: 0.61 μB/f.u.
ΔH_f (0 K): -0.489 eV per atom

=====

Question: Number 4 is which compound?
Answer: Zr5CuBi3

=====

Question: Number 7 is which compound?
Answer: Dy5Bi3